# 1
Na10Ti4Ga4Si7S5O48 | GGA-PBE | relaxed

Results
* symmetry: P1, No. 1

abc: 17.645 8.794 22.161
angles: 89.80 90.21 119.80
Element x y z (fractional)
Si: 0.355 0.993 0.751
O: 0.756 0.875 0.363
S: 0.809 0.663 0.918
Na: 0.685 0.370 0.245
O: 0.847 0.151 0.028
Na: 0.006 0.009 0.001
Na: 0.985 0.304 0.414
O: 0.754 0.145 0.925
O: 0.745 0.360 0.145
Na: 0.995 0.631 0.252
O: 0.738 0.175 0.527
O: 0.483 0.173 0.312
O: 0.568 0.646 0.080
Na: 0.830 0.964 0.587
O: 0.917 0.793 0.310
Ti: 0.499 0.016 0.146
O: 0.068 0.492 0.578
Na: 0.185 0.000 0.748
O: 0.109 0.038 0.304
O: 0.426 0.367 0.926
O: 0.233 0.156 0.243
S: 0.309 0.955 0.417
O: 0.518 0.837 0.693
O: 0.898 0.975 0.412
Si: 0.992 0.280 0.251
S: 0.980 0.626 0.083
Na: 0.185 0.370 0.245
O: 0.155 0.468 0.755
S: 0.480 0.627 0.083
O: 0.090 0.208 0.696
S: 0.477 0.332 0.583
O: 0.575 0.181 0.410
O: 0.680 0.851 0.577
O: 0.019 0.199 0.194
O: 0.583 0.479 0.256
O: 0.592 0.036 0.590
Si: 0.830 0.621 0.585
S: 0.831 0.043 0.084
O: 0.005 0.837 0.410
Ti: 0.822 0.318 0.979
O: 0.412 0.508 0.740
O: 0.347 0.544 0.527
O: 0.252 0.151 0.924
Na: 0.508 0.994 0.498
Ti: 0.160 0.677 0.812
Si: 0.521 0.368 0.916
O: 0.905 0.976 0.691
O: 0.425 0.310 0.529
Ga: 0.000 0.002 0.849
Ga: 0.163 0.674 0.515
O: 0.772 0.698 0.972
O: 0.017 0.832 0.692
O: 0.176 0.842 0.578
Na: 0.162 0.297 0.920
O: 0.686 0.874 0.859
O: 0.151 0.473 0.476
O: 0.092 0.158 0.091
O: 0.426 0.541 0.029
O: 0.322 0.137 0.423
O: 0.411 0.315 0.240
Na: 0.988 0.671 0.915
Ti: 0.162 0.643 0.312
Ti: 0.325 0.331 0.478
Si: 0.493 0.703 0.753
Si: 0.856 0.718 0.250
O: 0.774 0.850 0.472
Si: 0.356 0.718 0.250
O: 0.439 0.361 0.638
Na: 0.686 0.001 0.747
Na: 0.853 0.669 0.413
Si: 0.662 0.952 0.920
O: 0.256 0.878 0.363
O: 0.580 0.455 0.975
S: 0.145 0.294 0.749
O: 0.245 0.359 0.145
O: 0.653 0.840 0.256
Ti: 0.826 0.343 0.480
Ti: 0.495 0.979 0.649
O: 0.504 0.835 0.411
Na: 0.496 0.631 0.252
O: 0.408 0.841 0.192
Ga: 0.835 0.331 0.686
O: 0.183 0.871 0.857
O: 0.149 0.825 0.976
O: 0.757 0.635 0.863
O: 0.076 0.184 0.411
O: 0.919 0.817 0.589
Si: 0.524 0.674 0.417
O: 0.484 0.794 0.812
O: 0.813 0.491 0.640
O: 0.576 0.967 0.911
O: 0.092 0.022 0.590
O: 0.926 0.304 0.527
O: 0.988 0.174 0.589
O: 0.984 0.174 0.312
O: 0.233 0.309 0.744
O: 0.684 0.498 0.359
O: 0.757 0.694 0.257
Ti: 0.000 0.017 0.146
O: 0.927 0.487 0.422
O: 0.081 0.978 0.911
O: 0.180 0.515 0.077
Na: 0.654 0.338 0.582
O: 0.925 0.362 0.925
O: 0.258 0.820 0.756
O: 0.941 0.367 0.636
O: 0.258 0.695 0.257
O: 0.255 0.869 0.077
Na: 0.334 0.329 0.330
O: 0.822 0.508 0.924
O: 0.822 0.136 0.423
O: 0.077 0.702 0.478
Ga: 0.336 0.350 0.184
O: 0.606 0.178 0.803
Na: 0.486 0.668 0.915
O: 0.734 0.156 0.243
Si: 0.020 0.372 0.916
O: 0.745 0.644 0.576
S: 0.331 0.621 0.583
Na: 0.506 0.021 0.997
S: 0.146 0.000 0.249
O: 0.083 0.479 0.256
O: 0.755 0.869 0.078
O: 0.084 0.450 0.974
Ga: 0.662 0.669 0.519
O: 0.739 0.308 0.027
Ga: 0.002 0.998 0.351
Na: 0.172 0.667 0.162
O: 0.406 0.973 0.691
Na: 0.833 0.329 0.331
S: 0.645 0.291 0.750
Si: 0.022 0.673 0.416
O: 0.487 0.174 0.588
Ti: 0.662 0.644 0.313
O: 0.910 0.510 0.743
S: 0.810 0.957 0.417
O: 0.398 0.976 0.413
Na: 0.496 0.359 0.754
O: 0.899 0.819 0.913
O: 0.986 0.800 0.088
Na: 0.672 0.668 0.162
O: 0.321 0.514 0.637
O: 0.320 0.507 0.923
Na: 0.172 0.669 0.667
O: 0.110 0.186 0.805
O: 0.067 0.645 0.079
O: 0.568 0.635 0.357
O: 0.758 0.822 0.757
O: 0.509 0.176 0.910
Ti: 0.664 0.683 0.813
O: 0.913 0.033 0.812
O: 0.566 0.487 0.580
O: 0.821 0.128 0.137
O: 0.272 0.847 0.472
Na: 0.337 0.330 0.832
S: 0.331 0.042 0.084
O: 0.254 0.363 0.424
O: 0.400 0.820 0.913
Na: 0.671 0.677 0.665
Si: 0.687 0.340 0.085
O: 0.852 0.541 0.523
Si: 0.662 0.368 0.419
O: 0.248 0.132 0.645
O: 0.912 0.315 0.240
O: 0.567 0.502 0.857
Si: 0.856 0.002 0.751
Ga: 0.503 0.998 0.351
Si: 0.993 0.699 0.752
Si: 0.492 0.281 0.251
O: 0.748 0.124 0.644
S: 0.311 0.670 0.918
O: 0.754 0.361 0.422
O: 0.086 0.694 0.755
Ga: 0.333 0.322 0.687
O: 0.926 0.541 0.029
O: 0.837 0.164 0.744
O: 0.842 0.519 0.245
O: 0.590 0.213 0.694
O: 0.589 0.967 0.196
Ti: 0.328 0.313 0.978
S: 0.646 0.000 0.249
O: 0.238 0.309 0.025
O: 0.321 0.126 0.138
Si: 0.165 0.950 0.919
Si: 0.189 0.340 0.084
Na: 0.354 0.670 0.412
O: 0.441 0.519 0.139
O: 0.413 0.797 0.588
Si: 0.190 0.040 0.585
Ti: 0.998 0.982 0.648
O: 0.089 0.967 0.196
O: 0.422 0.046 0.806
O: 0.584 0.688 0.755
O: 0.413 0.028 0.088
Ga: 0.159 0.646 0.017
O: 0.426 0.490 0.425
Na: 0.019 0.704 0.580
S: 0.981 0.334 0.583
O: 0.908 0.841 0.192
O: 0.610 0.038 0.304
O: 0.591 0.157 0.091
O: 0.071 0.639 0.358
O: 0.417 0.793 0.310
O: 0.241 0.171 0.526
Na: 0.853 0.036 0.912
O: 0.652 0.464 0.755
O: 0.652 0.829 0.977
O: 0.681 0.516 0.077
O: 0.255 0.642 0.577
O: 0.342 0.167 0.745
O: 0.519 0.198 0.194
O: 0.256 0.635 0.864
Ga: 0.498 0.005 0.853
O: 0.941 0.519 0.139
O: 0.342 0.518 0.245
O: 0.648 0.459 0.478
O: 0.273 0.697 0.972
O: 0.986 0.795 0.812
O: 0.732 0.306 0.744
Ga: 0.656 0.643 0.017
O: 0.347 0.154 0.029
O: 0.070 0.506 0.859
Ga: 0.836 0.350 0.185
O: 0.186 0.498 0.358
Na: 0.487 0.307 0.414
Na: 0.839 0.339 0.828
O: 0.486 0.801 0.089
Si: 0.162 0.372 0.420
O: 0.913 0.029 0.088
O: 0.152 0.840 0.256
O: 0.583 0.702 0.475
Na: 0.013 0.006 0.498
Si: 0.686 0.039 0.585
O: 0.008 0.176 0.909

=====

# 2
Rb3Ca | GGA-PBE | relaxed

Results
* symmetry: I4/mmm, No. 139

abc: 8.242 8.242 8.242
angles: 132.83 132.83 68.93
Element x y z (fractional)
Rb: 0.250 0.750 0.500
Rb: 0.750 0.250 0.500
Ca: 0.000 0.000 0.000
Rb: 0.500 0.500 0.000

=====

# 3
Cs2CuF6 | GGA-PBE | relaxed

Results
* symmetry: Fm-3m, No. 225

abc: 6.432 6.432 6.432
angles: 60.00 60.00 60.00
Element x y z (fractional)
F: 0.204 0.796 0.204
Cs: 0.750 0.750 0.750
F: 0.204 0.796 0.796
Cs: 0.250 0.250 0.250
F: 0.796 0.796 0.204
F: 0.204 0.204 0.796
F: 0.796 0.204 0.796
F: 0.796 0.204 0.204
Cu: 0.000 0.000 0.000

=====

# 4
LaZn5 | GGA-PBE | relaxed

Results
* symmetry: P6/mmm, No. 191

abc: 5.462 5.462 4.299
angles: 90.00 90.00 120.00
Element x y z (fractional)
Zn: 0.500 0.500 0.500
La: 0.000 0.000 0.000
Zn: 0.000 0.500 0.500
Zn: 0.333 0.667 0.000
Zn: 0.500 0.000 0.500
Zn: 0.667 0.333 0.000

=====

# 5
WN | GGA-PBE | relaxed

Results
* symmetry: Pmn2_1, No. 31

abc: 2.867 3.460 4.164
angles: 90.00 90.00 90.00
Element x y z (fractional)
W: 0.616 0.825 0.500
N: 0.648 0.666 0.000
W: 0.116 0.175 0.000
N: 0.148 0.334 0.500

=====

# 6
LiCuN | GGA-PBE | relaxed

Results
* symmetry: P4/mmm, No. 123

abc: 2.873 2.873 3.937
angles: 90.00 90.00 90.00
Element x y z (fractional)
N: 0.500 0.500 0.000
Li: 0.500 0.500 0.500
Cu: 0.000 0.000 0.000

=====

Number 1: energy relative to the elements -2.58 eV/atom, total energy -6.69 eV per atom. Number 2: energy relative to the elements 0.20 eV/atom, total energy -1.04 eV per atom. Number 3: energy relative to the elements -2.28 eV/atom, total energy -3.90 eV per atom. Number 4: energy relative to the elements -0.31 eV/atom, total energy -2.19 eV per atom. Number 5: energy relative to the elements -0.18 eV/atom, total energy -10.65 eV per atom. Number 6: energy relative to the elements 0.04 eV/atom, total energy -4.63 eV per atom.